[1]
# Na6Sc4Si5Ge4S7O48 GGA-PBE relaxed
# MP2020-corrected energy, eV per atom: -7.142
# Space group: P1 (1)
# Crystal system: triclinic
# Total magnetization, μB/f.u.: 0.0
data_Na6Sc4Si5Ge4S7O48
_chemical_formula_sum 'Na18 Sc12 Si15 Ge12 S21 O144'
_cell_length_a 8.7641
_cell_length_b 15.1776
_cell_length_c 22.4632
_cell_angle_alpha 89.99
_cell_angle_beta 89.96
_cell_angle_gamma 89.93
_space_group_name_H-M_alt 'P 1'
_space_group_IT_number 1
loop_
_space_group_symop_operation_xyz
'x,y,z'
loop_
_atom_site_label
_atom_site_type_symbol
_atom_site_fract_x
_atom_site_fract_y
_atom_site_fract_z
Na1 Na 0.0000 0.0000 0.0000
Na2 Na 0.0020 0.3334 0.8225
Na3 Na 0.0111 0.0031 0.4987
Na4 Na 0.0218 0.6852 0.1602
Na5 Na 0.1278 0.5026 0.7474
Na6 Na 0.3726 0.0021 0.2482
Na7 Na 0.4927 0.1829 0.6654
Na8 Na 0.4942 0.5021 0.9945
Na9 Na 0.4982 0.8435 0.3276
Na10 Na 0.5013 0.4985 0.5038
Na11 Na 0.5077 0.8303 0.8360
Na12 Na 0.5161 0.1706 0.1603
Na13 Na 0.6386 0.9996 0.7505
Na14 Na 0.6488 0.6678 0.4245
Na15 Na 0.8595 0.1658 0.9155
Na16 Na 0.8721 0.4998 0.2517
Na17 Na 0.9864 0.6730 0.6627
Na18 Na 0.9981 0.3258 0.3384
Sc1 Sc 0.0058 0.6716 0.3110
Sc2 Sc 0.0114 0.3229 0.1755
Sc3 Sc 0.0133 0.3307 0.9848
Sc4 Sc 0.0192 0.3275 0.6878
Sc5 Sc 0.4824 0.8335 0.1842
Sc6 Sc 0.4856 0.8332 0.4878
Sc7 Sc 0.4909 0.8256 0.6764
Sc8 Sc 0.5109 0.1685 0.8061
Sc9 Sc 0.5121 0.4963 0.3577
Sc10 Sc 0.5210 0.1688 0.3112
Sc11 Sc 0.9831 0.6706 0.8109
Sc12 Sc 0.9899 0.0017 0.8542
Si1 Si 0.1302 0.8647 0.2481
Si2 Si 0.1590 0.1922 0.5768
Si3 Si 0.1894 0.8348 0.5813
Si4 Si 0.3087 0.3309 0.0796
Si5 Si 0.3456 0.6921 0.0775
Si6 Si 0.3735 0.3659 0.7484
Si7 Si 0.6340 0.0185 0.9178
Si8 Si 0.6433 0.6782 0.5807
Si9 Si 0.7067 0.6634 0.9166
Si10 Si 0.7114 0.9998 0.2469
Si11 Si 0.7943 0.5021 0.7467
Si12 Si 0.7976 0.1644 0.4165
Si13 Si 0.8565 0.1780 0.0800
Si14 Si 0.8636 0.1421 0.7451
Si15 Si 0.8736 0.5196 0.4172
Ge1 Ge 0.0024 0.6654 0.0116
Ge2 Ge 0.0160 0.0136 0.6379
Ge3 Ge 0.4856 0.5058 0.1343
Ge4 Ge 0.5068 0.1632 0.5149
Ge5 Ge 0.5124 0.8257 0.9766
Ge6 Ge 0.5164 0.1668 0.0214
Ge7 Ge 0.5241 0.5027 0.8473
Ge8 Ge 0.5244 0.5036 0.6492
Ge9 Ge 0.9799 0.0014 0.1470
Ge10 Ge 0.9816 0.0024 0.3482
Ge11 Ge 0.9860 0.6641 0.5253
Ge12 Ge 0.9882 0.3265 0.4785
S1 S 0.1400 0.1459 0.2497
S2 S 0.1492 0.4794 0.5782
S3 S 0.1506 0.5221 0.9136
S4 S 0.1517 0.8112 0.9167
S5 S 0.2167 0.5006 0.2453
S6 S 0.2177 0.1682 0.9157
S7 S 0.2882 0.9991 0.7460
S8 S 0.2922 0.6697 0.4156
S9 S 0.3523 0.0215 0.4135
S10 S 0.3523 0.3102 0.4164
S11 S 0.3522 0.9806 0.0788
S12 S 0.3642 0.6463 0.7498
S13 S 0.6407 0.6425 0.2456
S14 S 0.6441 0.3170 0.9161
S15 S 0.6445 0.3595 0.2433
S16 S 0.6515 0.9866 0.5813
S17 S 0.7076 0.3330 0.5786
S18 S 0.7959 0.8324 0.0790
S19 S 0.8517 0.4872 0.0835
S20 S 0.8584 0.8177 0.4160
S21 S 0.8581 0.8571 0.7438
O1 O 0.0533 0.7672 0.2523
O2 O 0.0683 0.2344 0.2460
O3 O 0.0678 0.9123 0.1858
O4 O 0.0713 0.2383 0.5196
O5 O 0.0728 0.4365 0.9196
O6 O 0.0743 0.1066 0.3051
O7 O 0.0772 0.9217 0.5922
O8 O 0.0776 0.7696 0.9706
O9 O 0.0789 0.0931 0.5828
O10 O 0.0793 0.4469 0.6334
O11 O 0.0824 0.5712 0.5707
O12 O 0.0837 0.8996 0.9136
O13 O 0.0915 0.5652 0.8595
O14 O 0.0911 0.7428 0.5685
O15 O 0.1107 0.2460 0.9181
O16 O 0.1106 0.9302 0.3079
O17 O 0.1142 0.4230 0.2412
O18 O 0.1157 0.4234 0.5253
O19 O 0.1171 0.0913 0.1954
O20 O 0.1177 0.5809 0.2471
O21 O 0.1192 0.0875 0.9142
O22 O 0.1213 0.5785 0.9688
O23 O 0.1271 0.7593 0.8627
O24 O 0.1459 0.2490 0.6360
O25 O 0.1589 0.6750 0.0650
O26 O 0.1842 0.0131 0.4113
O27 O 0.1855 0.3214 0.4228
O28 O 0.1846 0.9884 0.0842
O29 O 0.1893 0.3609 0.7452
O30 O 0.1960 0.9856 0.7996
O31 O 0.1966 0.0076 0.6902
O32 O 0.1968 0.6543 0.7550
O33 O 0.1990 0.6586 0.4689
O34 O 0.2022 0.6801 0.3603
O35 O 0.2036 0.3568 0.0232
O36 O 0.2103 0.3138 0.1395
O37 O 0.2929 0.8587 0.5233
O38 O 0.2939 0.8136 0.6389
O39 O 0.3074 0.1548 0.2549
O40 O 0.3077 0.1786 0.8615
O41 O 0.3106 0.1611 0.9706
O42 O 0.3109 0.4915 0.2989
O43 O 0.3112 0.5120 0.1900
O44 O 0.3159 0.4885 0.5822
O45 O 0.3160 0.8561 0.2451
O46 O 0.3181 0.5135 0.9121
O47 O 0.3197 0.8190 0.9240
O48 O 0.3466 0.1763 0.5639
O49 O 0.3616 0.7465 0.1383
O50 O 0.3782 0.2605 0.3613
O51 O 0.3813 0.0806 0.7484
O52 O 0.3838 0.0773 0.4675
O53 O 0.3845 0.9226 0.0272
O54 O 0.3868 0.5915 0.6952
O55 O 0.3931 0.5897 0.4105
O56 O 0.3943 0.4321 0.8083
O57 O 0.3962 0.7474 0.4173
O58 O 0.3957 0.9229 0.7413
O59 O 0.4103 0.2410 0.0690
O60 O 0.4117 0.0634 0.3585
O61 O 0.4198 0.0705 0.0716
O62 O 0.4220 0.4001 0.4125
O63 O 0.4225 0.4186 0.0885
O64 O 0.4216 0.9469 0.1348
O65 O 0.4266 0.2693 0.4691
O66 O 0.4284 0.9346 0.4184
O67 O 0.4298 0.5930 0.0851
O68 O 0.4305 0.6072 0.8051
O69 O 0.4336 0.7391 0.0216
O70 O 0.4349 0.7344 0.7456
O71 O 0.4385 0.4132 0.6856
O72 O 0.4488 0.2694 0.7529
O73 O 0.5550 0.9207 0.9306
O74 O 0.5563 0.5805 0.5889
O75 O 0.5681 0.4047 0.9107
O76 O 0.5697 0.0549 0.8547
O77 O 0.5716 0.2725 0.2474
O78 O 0.5745 0.7190 0.5187
O79 O 0.5743 0.7300 0.2406
O80 O 0.5771 0.0762 0.5758
O81 O 0.5783 0.2777 0.9714
O82 O 0.5823 0.6030 0.3018
O83 O 0.5837 0.4042 0.1900
O84 O 0.5867 0.9481 0.6362
O85 O 0.5945 0.5751 0.9083
O86 O 0.5956 0.0852 0.2503
O87 O 0.5997 0.7516 0.9244
O88 O 0.6053 0.9129 0.2421
O89 O 0.6055 0.4115 0.5823
O90 O 0.6076 0.0932 0.9712
O91 O 0.6111 0.2520 0.5705
O92 O 0.6126 0.5837 0.1929
O93 O 0.6154 0.4121 0.2985
O94 O 0.6187 0.9322 0.5284
O95 O 0.6205 0.2606 0.8637
O96 O 0.6199 0.7420 0.6371
O97 O 0.6701 0.1673 0.0751
O98 O 0.6767 0.1440 0.7455
O99 O 0.6817 0.1475 0.4744
O100 O 0.6818 0.4986 0.0890
O101 O 0.6832 0.5145 0.4137
O102 O 0.6878 0.8498 0.7416
O103 O 0.6902 0.8276 0.4200
O104 O 0.6918 0.5255 0.6878
O105 O 0.6939 0.4880 0.8078
O106 O 0.6995 0.1845 0.3574
O107 O 0.7018 0.8487 0.0246
O108 O 0.7044 0.8197 0.1326
O109 O 0.8003 0.3207 0.6313
O110 O 0.8006 0.3500 0.5230
O111 O 0.8057 0.6840 0.8583
O112 O 0.8109 0.6481 0.2486
O113 O 0.8123 0.3274 0.9214
O114 O 0.8121 0.9864 0.3078
O115 O 0.8135 0.0221 0.1878
O116 O 0.8143 0.3520 0.2412
O117 O 0.8189 0.9963 0.5840
O118 O 0.8222 0.0110 0.9170
O119 O 0.8221 0.6472 0.9754
O120 O 0.8300 0.6661 0.5761
O121 O 0.8770 0.4320 0.0310
O122 O 0.8800 0.2407 0.1377
O123 O 0.8833 0.7608 0.3626
O124 O 0.8876 0.9081 0.7993
O125 O 0.8947 0.7521 0.0715
O126 O 0.8974 0.9116 0.0833
O127 O 0.8981 0.0731 0.6881
O128 O 0.8984 0.5955 0.4695
O129 O 0.9014 0.4171 0.7412
O130 O 0.9031 0.2532 0.4241
O131 O 0.9072 0.5883 0.7502
O132 O 0.9091 0.0755 0.4080
O133 O 0.9154 0.4481 0.1388
O134 O 0.9197 0.8984 0.6901
O135 O 0.9237 0.1006 0.8083
O136 O 0.9240 0.5761 0.0775
O137 O 0.9239 0.7772 0.4701
O138 O 0.9279 0.2200 0.0193
O139 O 0.9299 0.7690 0.7483
O140 O 0.9341 0.5568 0.3529
O141 O 0.9355 0.9048 0.4097
O142 O 0.9366 0.2382 0.7415
O143 O 0.9454 0.0807 0.0887
O144 O 0.9468 0.4214 0.4294

[2]
# Na3ScSi2GeSO12 GGA-PBE relaxed
# MP2020-corrected energy, eV per atom: -7.088
# Total magnetization, μB/f.u.: 0.0
data_Na3ScSi2GeSO12
_chemical_formula_sum 'Na18 Sc6 Si12 Ge6 S6 O72'
_cell_length_a 8.9610
_cell_length_b 8.9610
_cell_length_c 22.1245
_cell_angle_alpha 86.56
_cell_angle_beta 93.44
_cell_angle_gamma 118.80
_space_group_name_H-M_alt 'P 1'
_space_group_IT_number 1
loop_
_space_group_symop_operation_xyz
'x,y,z'
loop_
_atom_site_label
_atom_site_type_symbol
_atom_site_fract_x
_atom_site_fract_y
_atom_site_fract_z
Na1 Na 0.6414 0.0053 0.2434
Na2 Na 0.9960 0.6329 0.2491
Na3 Na 0.9947 0.3586 0.7434
Na4 Na 0.3671 0.0040 0.7491
Na5 Na 0.3081 0.3387 0.5767
Na6 Na 0.6627 0.9662 0.5825
Na7 Na 0.6613 0.6919 0.0767
Na8 Na 0.0338 0.3373 0.0825
Na9 Na 0.9748 0.6720 0.9100
Na10 Na 0.3293 0.2996 0.9158
Na11 Na 0.3280 0.0252 0.4100
Na12 Na 0.7004 0.6707 0.4158
Na13 Na 0.0019 0.0193 0.4981
Na14 Na 0.9807 0.9981 0.9981
Na15 Na 0.6686 0.3527 0.8314
Na16 Na 0.6473 0.3314 0.3314
Na17 Na 0.3353 0.6860 0.1647
Na18 Na 0.3140 0.6647 0.6647
Sc1 Sc 0.0050 0.0052 0.3537
Sc2 Sc 0.9948 0.9950 0.8537
Sc3 Sc 0.6716 0.3386 0.6871
Sc4 Sc 0.6614 0.3284 0.1871
Sc5 Sc 0.3383 0.6719 0.0204
Sc6 Sc 0.3281 0.6617 0.5204
Si1 Si 0.2848 0.9922 0.2535
Si2 Si 0.7040 0.7029 0.2526
Si3 Si 0.2971 0.2960 0.7526
Si4 Si 0.0078 0.7152 0.7535
Si5 Si 0.9515 0.3256 0.5868
Si6 Si 0.3707 0.0363 0.5859
Si7 Si 0.9637 0.6293 0.0859
Si8 Si 0.6744 0.0485 0.0868
Si9 Si 0.6181 0.6589 0.9202
Si10 Si 0.0373 0.3696 0.9192
Si11 Si 0.6304 0.9627 0.4192
Si12 Si 0.3411 0.3819 0.4202
Ge1 Ge 0.0478 0.0292 0.6471
Ge2 Ge 0.9708 0.9522 0.1471
Ge3 Ge 0.7144 0.3625 0.9804
Ge4 Ge 0.6375 0.2856 0.4804
Ge5 Ge 0.3811 0.6959 0.3138
Ge6 Ge 0.3041 0.6189 0.8138
S1 S 0.0122 0.3014 0.2471
S2 S 0.6986 0.9878 0.7471
S3 S 0.6788 0.6347 0.5805
S4 S 0.3653 0.3212 0.0805
S5 S 0.3455 0.9681 0.9138
S6 S 0.0319 0.6545 0.4138
O1 O 0.2045 0.0137 0.3131
O2 O 0.8195 0.7978 0.3108
O3 O 0.9925 0.1913 0.3017
O4 O 0.2022 0.1805 0.8108
O5 O 0.9863 0.7955 0.8131
O6 O 0.8087 0.0075 0.8017
O7 O 0.7762 0.9735 0.6924
O8 O 0.1760 0.2184 0.6892
O9 O 0.0463 0.8561 0.6939
O10 O 0.7816 0.8240 0.1892
O11 O 0.0265 0.2238 0.1924
O12 O 0.1439 0.9537 0.1939
O13 O 0.8712 0.3470 0.6464
O14 O 0.4862 0.1312 0.6441
O15 O 0.6592 0.5246 0.6350
O16 O 0.8688 0.5138 0.1441
O17 O 0.6530 0.1288 0.1464
O18 O 0.4754 0.3408 0.1350
O19 O 0.4429 0.3068 0.0258
O20 O 0.8427 0.5518 0.0226
O21 O 0.7129 0.1894 0.0272
O22 O 0.4482 0.1573 0.5226
O23 O 0.6932 0.5571 0.5258
O24 O 0.8106 0.2871 0.5272
O25 O 0.5379 0.6804 0.9797
O26 O 0.1529 0.4645 0.9775
O27 O 0.3258 0.8580 0.9683
O28 O 0.5355 0.8471 0.4775
O29 O 0.3196 0.4621 0.4797
O30 O 0.1420 0.6742 0.4683
O31 O 0.1096 0.6401 0.3591
O32 O 0.5093 0.8851 0.3559
O33 O 0.3796 0.5227 0.3606
O34 O 0.1149 0.4907 0.8559
O35 O 0.3599 0.8904 0.8591
O36 O 0.4773 0.6204 0.8606
O37 O 0.0173 0.8143 0.4131
O38 O 0.8150 0.9768 0.4138
O39 O 0.1905 0.1886 0.4118
O40 O 0.0232 0.1850 0.9138
O41 O 0.1857 0.9827 0.9131
O42 O 0.8114 0.8095 0.9118
O43 O 0.9578 0.1362 0.5921
O44 O 0.1842 0.0365 0.5877
O45 O 0.8260 0.8072 0.5859
O46 O 0.9635 0.8158 0.0877
O47 O 0.8638 0.0422 0.0921
O48 O 0.1928 0.1740 0.0859
O49 O 0.6839 0.1476 0.7464
O50 O 0.4817 0.3101 0.7471
O51 O 0.8571 0.5219 0.7451
O52 O 0.6899 0.5183 0.2471
O53 O 0.8524 0.3161 0.2464
O54 O 0.4781 0.1429 0.2451
O55 O 0.6245 0.4695 0.9255
O56 O 0.8509 0.3698 0.9210
O57 O 0.4926 0.1406 0.9192
O58 O 0.6302 0.1491 0.4210
O59 O 0.5305 0.3755 0.4255
O60 O 0.8594 0.5074 0.4192
O61 O 0.3506 0.4810 0.0797
O62 O 0.1484 0.6434 0.0804
O63 O 0.5238 0.8552 0.0784
O64 O 0.3566 0.8516 0.5804
O65 O 0.5190 0.6494 0.5797
O66 O 0.1448 0.4762 0.5784
O67 O 0.2912 0.8028 0.2588
O68 O 0.5176 0.7032 0.2543
O69 O 0.1593 0.4739 0.2526
O70 O 0.2968 0.4824 0.7543
O71 O 0.1972 0.7088 0.7588
O72 O 0.5261 0.8407 0.7526